DFT (GGA-PBE) results for a geometry-optimized K3ErSi3H2O10 structure.

a b c (Å): 13.241 13.749 5.935
angles (deg): 90.00 90.00 90.00
Space group Pnma (No. 62)
Symmetry-distinct sites (fractional):
K1 0.126 0.250 0.081 x4
K2 0.138 0.014 0.411 x8
Er1 0.042 0.750 0.409 x4
Si1 0.099 0.605 0.908 x8
Si2 0.246 0.250 0.583 x4
H1 0.070 0.059 0.887 x8
O1 0.030 0.632 0.128 x8
O2 0.047 0.633 0.670 x8
O3 0.124 0.250 0.571 x4
O4 0.129 0.014 0.909 x8
O5 0.205 0.750 0.332 x4
O6 0.214 0.653 0.934 x8

Total DFT energy (no corrections), eV per atom: -6.74